The following is a DFT calculation (PBE+U) of an optimized crystal structure of Tb4MgAl2Fe2O12.

Output
ΔE_f   -3.149 eV/atom
Uncorrected energy   -7.491 eV/atom
SG   P1 (1)
ΔE to the lowest computed polymorph   18 meV per atom

```
Tb4MgAl2Fe2O12
1.0
5.4294 0.0542 -0.1856
0.0473 5.8268 0.2325
-0.2863 0.3110 8.3453
O Mg Tb Fe Al
12 1 4 2 2
Cartesian
0.7452 1.4912 4.7034
1.7510 5.8079 2.5137
3.7519 2.1913 0.9721
4.5458 3.4141 6.2865
3.7081 2.2116 3.8232
4.0642 5.0495 0.7760
3.3523 0.3634 6.0463
4.3211 4.8594 3.8655
0.9003 2.6403 1.8269
1.3106 4.1000 4.7967
1.5632 4.1891 7.5715
1.3445 1.0386 7.5236
2.0576 1.3366 0.9409
2.4001 2.6212 6.1034
2.7749 3.7790 2.3899
0.1120 5.5734 6.2144
4.9843 0.8289 2.3042
2.5009 0.2287 4.1401
5.2867 3.2438 0.0064
2.6599 5.5597 7.7707
5.1340 3.1811 4.5014
```


The following is a DFT calculation (PBE+U) of an optimized crystal structure of Tb4MgAl2Fe2O12.

Output
ΔE_f   -3.167 eV/atom
Uncorrected energy   -7.510 eV/atom
SG   P1 (1)
ΔE to the lowest computed polymorph   0 meV per atom

```
Tb4MgAl2Fe2O12
1.0
5.3888 -0.3444 0.2602
-0.1452 5.8609 -0.2111
0.2982 -0.3528 8.2030
O Al Tb Fe Mg
12 2 4 2 1
Cartesian
3.4811 -0.4638 6.5257
1.8255 4.9950 1.7388
1.5105 0.2409 8.1014
1.2172 4.0106 4.5834
4.1115 4.4171 0.3554
4.2141 1.5573 3.5730
1.1732 1.1701 5.4715
4.0805 4.4926 3.4186
3.8747 1.4431 0.6324
4.5019 2.5537 6.0869
1.9511 3.2739 7.4472
1.3732 1.7914 2.9141
0.2775 2.3989 4.3695
2.4145 5.1684 -0.0363
3.0644 3.0208 2.1202
5.3194 0.0206 2.0493
2.5428 0.0985 3.9642
0.1018 5.1968 6.2445
5.5251 2.2087 7.9566
2.9392 3.5438 5.3915
2.8481 1.4035 7.0903
```


The following is a DFT calculation (PBE+U) of an optimized crystal structure of Tb4MgAl2Fe2O12.

Output
ΔE_f   -3.155 eV/atom
Uncorrected energy   -7.497 eV/atom
SG   P1 (1)
ΔE to the lowest computed polymorph   13 meV per atom

```
Tb4MgAl2Fe2O12
1.0
5.3589 -0.0251 0.2410
-0.0186 5.8539 0.1429
0.3432 0.2011 8.2682
O Tb Fe Al Mg
12 4 2 2 1
Cartesian
4.3328 4.8227 3.8168
0.8801 2.6025 2.4687
1.6438 3.9894 4.6205
1.1801 1.1704 4.7378
1.9578 4.1982 7.5427
1.4754 1.0506 7.5560
4.0775 2.1461 1.0711
3.9275 1.9268 3.9844
4.1469 4.9932 0.8043
3.8468 0.5374 6.6885
1.7112 5.2873 1.7045
4.8628 3.1484 6.1928
2.9618 3.4684 2.5123
0.3828 5.2377 6.1501
2.6418 2.5187 6.0988
5.2188 0.5486 2.2742
2.8227 0.0907 4.2293
0.2806 3.6898 0.8880
0.1962 2.7659 4.2146
2.8109 5.6946 8.2704
5.0912 1.8370 7.6343
```


The following is a DFT calculation (PBE+U) of an optimized crystal structure of NaAl3Fe6S2O38.

Output
ΔE_f   -0.963 eV/atom
Uncorrected energy   -5.763 eV/atom
SG   P1 (1)

```
NaAl3Fe6S2O38
1.0
4.3867 2.4573 11.8748
-4.4243 2.4039 11.8901
-0.0663 -5.1063 11.9262
S O Na Al Fe
2 38 1 3 6
Cartesian
-0.0545 -0.1742 24.9344
-0.0024 -0.0563 10.7621
-0.1535 -3.5034 18.8505
-2.9796 -1.8066 16.9520
-1.1441 -0.9303 10.3842
-0.2352 -2.3965 13.8968
-0.0265 -0.1195 12.2620
-2.6195 -2.2716 22.0678
1.3199 -1.0624 30.7344
0.0542 3.2520 16.8432
1.3961 0.8096 4.9761
1.4369 0.7220 16.8761
-1.4504 0.7486 16.8815
0.0160 1.5408 18.7995
-1.9595 1.1541 13.9139
-0.1953 1.3323 10.2970
-0.0597 -1.7070 5.0035
1.0518 0.6869 25.3963
0.4842 -3.3590 13.6424
-1.5508 -1.0631 30.6701
-2.1377 -1.1772 21.7897
1.9339 0.9677 13.8393
2.5111 2.0287 13.6330
-0.1514 1.4364 30.7247
-1.4938 0.7630 4.9981
0.1541 -1.5464 25.4369
0.0820 2.1274 21.7165
-0.5780 3.1245 21.9998
-0.0371 -1.7699 16.8843
-0.1370 -0.1629 23.4369
-1.3872 0.3585 25.3359
1.2883 -0.5544 10.2502
1.8289 -1.3732 21.8414
-3.0348 1.5027 18.8079
-3.1486 1.0215 13.6352
1.4315 -0.9441 18.7839
3.0292 -1.3180 22.0935
-1.4759 -0.9537 18.8265
2.9633 -1.7302 16.8522
2.8809 1.5577 18.7882
-4.3871 2.3606 11.8761
-0.0814 -0.2031 29.7330
-0.0377 -0.1157 17.8374
-0.0335 -0.0442 5.9725
-1.4949 2.3764 17.8115
2.9079 -0.1266 17.8280
-2.9898 -0.1306 17.8889
1.4222 2.4071 17.8343
-1.5211 -2.6508 17.9006
1.3954 -2.6276 17.8207
```


The following is a DFT calculation (PBE+U) of an optimized crystal structure of Na6Al4FeSi8O26.

Output
ΔE_f   -3.041 eV/atom
Uncorrected energy   -7.115 eV/atom
SG   C2/m (12)
ΔE to the lowest computed polymorph   10 meV per atom

```
Na6Al4FeSi8O26
1.0
4.0517 7.5904 0.0000
-4.0517 7.5904 0.0000
0.0000 4.3101 9.6733
O Al Si Na Fe
26 4 8 6 1
Cartesian
0.0000 13.7767 9.0236
1.5602 9.6899 3.1200
-2.6084 13.3655 9.5575
1.4749 12.5230 7.1967
0.0000 5.7143 0.6497
2.3824 7.6760 5.0216
-1.4749 6.9680 2.4766
-1.7867 4.3557 2.0085
-2.6084 6.1255 0.1158
-1.5602 9.8011 6.5533
2.6084 13.3655 9.5575
2.6084 6.1255 0.1158
-2.3824 11.8149 4.6517
-1.4749 12.5230 7.1967
0.0000 7.6456 6.1898
2.3824 11.8149 4.6517
0.0000 15.8837 2.6595
0.0000 3.6073 7.0138
1.5602 9.8011 6.5533
-1.5602 9.6899 3.1200
1.4749 6.9680 2.4766
1.7867 4.3557 2.0085
-2.3824 7.6760 5.0216
-1.7867 15.1352 7.6648
0.0000 11.8454 3.4836
1.7867 15.1352 7.6648
2.4537 11.3101 6.3576
2.4537 8.1808 3.3158
-2.4537 8.1808 3.3158
-2.4537 11.3101 6.3576
-1.5617 11.2872 3.3456
-1.5663 5.8441 1.2913
-1.5617 8.2037 6.3277
1.5617 11.2872 3.3456
1.5663 13.6468 8.3820
1.5617 8.2037 6.3277
1.5663 5.8441 1.2913
-1.5663 13.6468 8.3820
0.0000 10.6956 8.0933
0.0000 16.6911 8.5629
0.0000 13.5076 5.4306
0.0000 8.7953 1.5800
0.0000 2.7998 1.1104
0.0000 5.9834 4.2427
0.0000 0.0000 0.0000
```


The following is a DFT calculation (PBE+U) of an optimized crystal structure of Na6Al4FeSi8O26.

Output
ΔE_f   -3.051 eV/atom
Uncorrected energy   -7.124 eV/atom
SG   C2 (5)
ΔE to the lowest computed polymorph   0 meV per atom

```
Na6Al4FeSi8O26
1.0
4.0416 7.5880 0.0000
-4.0416 7.5880 0.0000
0.0000 4.2748 9.7368
O Na Si Fe Al
26 6 8 1 4
Cartesian
-2.4233 11.8185 4.8483
0.0961 3.6261 6.9872
0.0961 15.8248 2.7496
1.6975 9.7081 3.1448
-0.0716 13.5767 9.0982
1.6325 4.3830 1.9943
1.5011 7.0043 2.4562
-2.6945 6.1217 0.1569
-1.7190 4.4016 2.0414
2.4622 7.6359 5.0358
1.5011 12.4466 7.2806
-1.5532 7.0178 2.4860
0.0791 11.8285 3.5457
-1.6184 9.9182 6.5904
-2.6945 13.3292 9.5799
-1.7190 15.0493 7.6954
-2.4233 7.6324 4.8885
1.6325 15.0679 7.7425
-1.5532 12.4331 7.2508
-0.0716 5.8742 0.6386
-1.6184 9.5327 3.1465
1.6975 9.7427 6.5921
2.4958 6.1142 0.0485
0.0791 7.6224 6.1911
2.4622 11.8150 4.7010
2.4958 13.3366 9.6883
0.0575 5.9920 4.3097
-0.0194 16.5874 8.6666
-0.0194 2.8634 1.0702
0.0927 10.6437 8.1185
0.0575 13.4589 5.4271
0.0927 8.8071 1.6184
-2.4378 11.3085 6.3990
1.5026 5.8502 1.2778
1.6168 11.3100 3.3951
-2.4378 8.1424 3.3378
1.6168 8.1409 6.3417
-1.6070 5.8709 1.2864
-1.6070 13.5799 8.4504
1.5026 13.6006 8.4590
3.9491 7.5880 0.0000
2.4912 11.2924 6.3877
2.4912 8.1584 3.3491
-1.5845 11.2685 3.3880
-1.5845 8.1824 6.3488
```